(1)
This record from Materials Project describes La4MnS6O after structural relaxation. The functional is PBE+U.

a b c (Å): 6.7974 9.4893 9.4982
angles (deg): 119.94 90.05 90.02
Last column: nearest neighbours and their distance in Å.
Fractional positions:
La1 0.0000 0.0000 0.0000  1 O 2.40
La2 0.0005 0.4106 0.4103  1 O 2.40
La3 0.0316 0.4703 0.9396  1 O 2.35
La4 0.4989 0.6069 0.8023  1 O 2.40
La5 0.4999 0.1964 0.8025  1 O 2.40
La6 0.5005 0.6066 0.2122  1 O 2.39
La7 0.5317 0.1367 0.2733  1 O 2.35
La8 0.9990 0.9998 0.4104  1 O 2.40
Mn1 0.3349 0.8082 0.6083  6 S 2.49-2.69
Mn2 0.8310 0.8005 0.6046  6 S 2.48-2.69
S1 0.1006 0.0403 0.7251  2 Mn 2.49-2.69
S2 0.1007 0.6848 0.7259  2 Mn 2.54-2.67
S3 0.1019 0.6848 0.3691  2 Mn 2.53-2.68
S4 0.2795 0.2732 0.1367  3 La 2.82-2.95
S5 0.2797 0.2729 0.5458  3 La 2.82-2.94
S6 0.2795 0.8639 0.1370  3 La 2.82-2.95
S7 0.6009 0.5669 0.4879  2 Mn 2.48-2.69
S8 0.6010 0.9223 0.4874  2 Mn 2.51-2.65
S9 0.6021 0.9221 0.8436  2 Mn 2.51-2.65
S10 0.7794 0.3338 0.0763  3 La 2.83-2.95
S11 0.7795 0.7429 0.0761  3 La 2.82-2.95
S12 0.7795 0.3339 0.6670  3 La 2.82-2.95
O1 0.3779 0.4699 0.9395  4 La 2.35-2.40
O2 0.8778 0.1370 0.2734  4 La 2.35-2.40

Calculated values
Energy relative to the elements ... -2456 meV/atom
Calculated volume ... 265.5 Å³/f.u.
SG ... P1 (1)

(2)
This record from Materials Project describes Li3MnPCO7 after structural relaxation. The functional is PBE+U.

a b c (Å): 5.1945 6.7200 8.7811
angles (deg): 79.63 88.42 89.83
Last column: nearest neighbours and their distance in Å.
Fractional positions:
Li1 0.0381 0.2383 0.2461  3 O 1.87-2.05
Li2 0.3242 0.8832 0.2709  3 O 1.93-2.09
Li3 0.4329 0.4907 0.2858  3 O 1.92-2.03
Li4 0.5671 0.5093 0.7142  3 O 1.92-2.03
Li5 0.6758 0.1168 0.7291  3 O 1.93-2.09
Li6 0.9619 0.7617 0.7539  3 O 1.87-2.05
Mn1 0.1506 0.2580 0.8683  6 O 2.16-2.39
Mn2 0.8494 0.7420 0.1317  6 O 2.16-2.39
P1 0.3481 0.7570 0.9256  4 O 1.55-1.57
P2 0.6519 0.2430 0.0744  4 O 1.55-1.57
C1 0.1969 0.2731 0.5568  3 O 1.29-1.32
C2 0.8031 0.7269 0.4432  3 O 1.29-1.32
O1 0.0294 0.7460 0.3790  1 C 1.29
O2 0.1886 0.9427 0.8502  1 P 1.55
O3 0.2398 0.2759 0.4115  1 C 1.29
O4 0.2612 0.5824 0.8419  1 P 1.57
O5 0.2724 0.7058 0.1019  1 P 1.56
O6 0.3566 0.2026 0.0967  1 P 1.56
O7 0.3915 0.2905 0.6474  1 C 1.32
O8 0.6085 0.7095 0.3526  1 C 1.32
O9 0.6434 0.7974 0.9033  1 P 1.56
O10 0.7276 0.2942 0.8981  1 P 1.56
O11 0.7388 0.4176 0.1581  1 P 1.57
O12 0.7602 0.7241 0.5885  1 C 1.29
O13 0.8114 0.0573 0.1498  1 P 1.55
O14 0.9706 0.2540 0.6210  1 C 1.29

Calculated values
Energy relative to the elements ... -2388 meV/atom
Calculated volume ... 150.7 Å³/f.u.
SG ... P-1 (2)

(3)
This record from Materials Project describes V2Pb4O9 after structural relaxation. The functional is PBE+U.

a b c (Å): 23.2646 11.7791 7.5726
angles (deg): 90.00 90.00 90.00
Last column: nearest neighbours and their distance in Å.
Fractional positions:
V1 0.0953 0.0038 0.0049  4 O 1.73-1.76
V2 0.0953 0.4962 0.0049  4 O 1.73-1.76
V3 0.1783 0.2500 0.6330  4 O 1.74-1.75
V4 0.1838 0.7500 0.6137  4 O 1.71-1.77
V5 0.3162 0.2500 0.1137  4 O 1.71-1.77
V6 0.3217 0.7500 0.1330  4 O 1.74-1.75
V7 0.4047 0.5038 0.5049  4 O 1.73-1.76
V8 0.4047 0.9962 0.5049  4 O 1.73-1.76
V9 0.5953 0.0038 0.4951  4 O 1.73-1.76
V10 0.5953 0.4962 0.4951  4 O 1.73-1.76
V11 0.6783 0.2500 0.8670  4 O 1.74-1.75
V12 0.6838 0.7500 0.8863  4 O 1.71-1.77
V13 0.8162 0.2500 0.3863  4 O 1.71-1.77
V14 0.8217 0.7500 0.3670  4 O 1.74-1.75
V15 0.9047 0.5038 0.9951  4 O 1.73-1.76
V16 0.9047 0.9962 0.9951  4 O 1.73-1.76
Pb1 0.0116 0.7500 0.7492  3 O 2.35-2.60
Pb2 0.0145 0.2500 0.7361  3 O 2.40-2.53
Pb3 0.0762 0.0094 0.4910  3 O 2.31-2.38
Pb4 0.0762 0.4906 0.4910  3 O 2.31-2.38
Pb5 0.1532 0.7500 0.0706  4 O 2.40-2.51
Pb6 0.1638 0.2500 0.1632  3 O 2.32-2.42
Pb7 0.2451 0.5273 0.3485  3 O 2.28-2.51
Pb8 0.2451 0.9727 0.3485  3 O 2.28-2.51
Pb9 0.2549 0.0273 0.8485  3 O 2.28-2.51
Pb10 0.2549 0.4727 0.8485  3 O 2.28-2.51
Pb11 0.3362 0.7500 0.6632  3 O 2.32-2.42
Pb12 0.3468 0.2500 0.5706  4 O 2.40-2.51
Pb13 0.4238 0.5094 0.9910  3 O 2.31-2.38
Pb14 0.4238 0.9906 0.9910  3 O 2.31-2.38
Pb15 0.4855 0.7500 0.2361  3 O 2.40-2.53
Pb16 0.4884 0.2500 0.2492  3 O 2.35-2.60
Pb17 0.5116 0.7500 0.7508  3 O 2.35-2.60
Pb18 0.5145 0.2500 0.7639  3 O 2.40-2.53
Pb19 0.5762 0.0094 0.0090  3 O 2.31-2.38
Pb20 0.5762 0.4906 0.0090  3 O 2.31-2.38
Pb21 0.6532 0.7500 0.4294  4 O 2.40-2.51
Pb22 0.6638 0.2500 0.3368  3 O 2.32-2.42
Pb23 0.7451 0.5273 0.1515  3 O 2.28-2.51
Pb24 0.7451 0.9727 0.1515  3 O 2.28-2.51
Pb25 0.7549 0.0273 0.6515  3 O 2.28-2.51
Pb26 0.7549 0.4727 0.6515  3 O 2.28-2.51
Pb27 0.8362 0.7500 0.8368  3 O 2.32-2.42
Pb28 0.8468 0.2500 0.9294  4 O 2.40-2.51
Pb29 0.9238 0.5094 0.5090  3 O 2.31-2.38
Pb30 0.9238 0.9906 0.5090  3 O 2.31-2.38
Pb31 0.9855 0.7500 0.2639  3 O 2.40-2.53
Pb32 0.9884 0.2500 0.2508  3 O 2.35-2.60
O1 0.0038 0.6255 0.5076  4 Pb 2.31-2.40
O2 0.0038 0.8745 0.5076  4 Pb 2.31-2.40
O3 0.0624 0.0231 0.8021  1 V 1.73
O4 0.0624 0.4769 0.8021  1 V 1.73
O5 0.0738 0.6219 0.1097  1 V 1.75
O6 0.0738 0.8781 0.1097  1 V 1.75
O7 0.0831 0.1212 0.1445  1 V 1.76
O8 0.0831 0.3788 0.1445  1 V 1.76
O9 0.1073 0.2500 0.5624  1 V 1.74
O10 0.1234 0.7500 0.7514  1 V 1.75
O11 0.1629 0.7500 0.3969  1 V 1.71
O12 0.1699 0.5116 0.9864  1 V 1.75
O13 0.1699 0.9884 0.9864  1 V 1.75
O14 0.1843 0.2500 0.8640  1 V 1.75
O15 0.2127 0.1277 0.5540  1 V 1.75
O16 0.2127 0.3723 0.5540  1 V 1.75
O17 0.2285 0.6307 0.6504  1 V 1.77
O18 0.2285 0.8693 0.6504  1 V 1.77
O19 0.2715 0.1307 0.1504  1 V 1.77
O20 0.2715 0.3693 0.1504  1 V 1.77
O21 0.2873 0.6277 0.0540  1 V 1.75
O22 0.2873 0.8723 0.0540  1 V 1.75
O23 0.3157 0.7500 0.3640  1 V 1.75
O24 0.3301 0.0116 0.4864  1 V 1.75
O25 0.3301 0.4884 0.4864  1 V 1.75
O26 0.3371 0.2500 0.8969  1 V 1.71
O27 0.3766 0.2500 0.2514  1 V 1.75
O28 0.3927 0.7500 0.0624  1 V 1.74
O29 0.4169 0.6212 0.6445  1 V 1.76
O30 0.4169 0.8788 0.6445  1 V 1.76
O31 0.4262 0.1219 0.6097  1 V 1.75
O32 0.4262 0.3781 0.6097  1 V 1.75
O33 0.4376 0.5231 0.3021  1 V 1.73
O34 0.4376 0.9769 0.3021  1 V 1.73
O35 0.4962 0.1255 0.0076  4 Pb 2.31-2.40
O36 0.4962 0.3745 0.0076  4 Pb 2.31-2.40
O37 0.5038 0.6255 0.9924  4 Pb 2.31-2.40
O38 0.5038 0.8745 0.9924  4 Pb 2.31-2.40
O39 0.5624 0.0231 0.6979  1 V 1.73
O40 0.5624 0.4769 0.6979  1 V 1.73
O41 0.5738 0.6219 0.3903  1 V 1.75
O42 0.5738 0.8781 0.3903  1 V 1.75
O43 0.5831 0.1212 0.3555  1 V 1.76
O44 0.5831 0.3788 0.3555  1 V 1.76
O45 0.6073 0.2500 0.9376  1 V 1.74
O46 0.6234 0.7500 0.7486  1 V 1.75
O47 0.6629 0.7500 0.1031  1 V 1.71
O48 0.6699 0.5116 0.5136  1 V 1.75
O49 0.6699 0.9884 0.5136  1 V 1.75
O50 0.6843 0.2500 0.6360  1 V 1.75
O51 0.7127 0.1277 0.9460  1 V 1.75
O52 0.7127 0.3723 0.9460  1 V 1.75
O53 0.7285 0.6307 0.8496  1 V 1.77
O54 0.7285 0.8693 0.8496  1 V 1.77
O55 0.7715 0.1307 0.3496  1 V 1.77
O56 0.7715 0.3693 0.3496  1 V 1.77
O57 0.7873 0.6277 0.4460  1 V 1.75
O58 0.7873 0.8723 0.4460  1 V 1.75
O59 0.8157 0.7500 0.1360  1 V 1.75
O60 0.8301 0.0116 0.0136  1 V 1.75
O61 0.8301 0.4884 0.0136  1 V 1.75
O62 0.8371 0.2500 0.6031  1 V 1.71
O63 0.8766 0.2500 0.2486  1 V 1.75
O64 0.8927 0.7500 0.4376  1 V 1.74
O65 0.9169 0.6212 0.8555  1 V 1.76
O66 0.9169 0.8788 0.8555  1 V 1.76
O67 0.9262 0.1219 0.8903  1 V 1.75
O68 0.9262 0.3781 0.8903  1 V 1.75
O69 0.9376 0.5231 0.1979  1 V 1.73
O70 0.9376 0.9769 0.1979  1 V 1.73
O71 0.9962 0.1255 0.4924  4 Pb 2.31-2.40
O72 0.9962 0.3745 0.4924  4 Pb 2.31-2.40

Calculated values
Energy relative to the elements ... -2004 meV/atom
Calculated volume ... 259.4 Å³/f.u.
SG ... Pnma (62)